# As2O3, optimized geometry, DFT GGA-PBE
# Calculated formation energy (eV/atom): -1.61
data_As2O3
_chemical_formula_sum 'As8 O12'
_cell_length_a 7.0250
_cell_length_b 7.0250
_cell_length_c 8.2220
_cell_angle_alpha 90.00
_cell_angle_beta 90.00
_cell_angle_gamma 90.00
_space_group_name_H-M_alt 'P 42/n'
_space_group_IT_number 86
loop_
_space_group_symop_operation_xyz
'x,y,z'
'-x,-y,-z'
'-y,x+1/2,z+1/2'
'y,-x+1/2,-z+1/2'
'-x+1/2,-y+1/2,z'
'x+1/2,y+1/2,-z'
'y+1/2,-x,z+1/2'
'-y+1/2,x,-z+1/2'
loop_
_atom_site_label
_atom_site_type_symbol
_atom_site_fract_x
_atom_site_fract_y
_atom_site_fract_z
As1 As 0.0243 0.7024 0.1452
O1 O 0.0669 0.4083 0.6683
O2 O 0.2500 0.7500 0.2485

---

# MgBi2O4, optimized geometry, DFT GGA-PBE
# Calculated formation energy (eV/atom): -1.86
# Offset from the most stable computed form (eV/f.u.): 0.94
data_MgBi2O4
_chemical_formula_sum 'Mg6 Bi12 O24'
_cell_length_a 6.8618
_cell_length_b 6.8618
_cell_length_c 16.5520
_cell_angle_alpha 90.00
_cell_angle_beta 90.00
_cell_angle_gamma 120.00
_space_group_name_H-M_alt 'P 3 m 1'
_space_group_IT_number 156
loop_
_space_group_symop_operation_xyz
'x,y,z'
'-y,x-y,z'
'-x+y,-x,z'
'-y,-x,z'
'-x+y,y,z'
'x,x-y,z'
loop_
_atom_site_label
_atom_site_type_symbol
_atom_site_fract_x
_atom_site_fract_y
_atom_site_fract_z
Mg1 Mg 0.0000 0.0000 0.0000
Mg2 Mg 0.0000 0.0000 0.2477
Mg3 Mg 0.3333 0.6667 0.5853
Mg4 Mg 0.6667 0.3333 0.2896
Mg5 Mg 0.6667 0.3333 0.6661
Mg6 Mg 0.6667 0.3333 0.9150
Bi1 Bi 0.0000 0.0000 0.6240
Bi2 Bi 0.1666 0.3333 0.7926
Bi3 Bi 0.3333 0.6667 0.3387
Bi4 Bi 0.3333 0.6667 0.9617
Bi5 Bi 0.3361 0.1680 0.4571
Bi6 Bi 0.5046 0.0093 0.1270
O1 O 0.0000 0.0000 0.3714
O2 O 0.0000 0.0000 0.8755
O3 O 0.1647 0.3294 0.0415
O4 O 0.1719 0.3439 0.5397
O5 O 0.3321 0.1661 0.7061
O6 O 0.3333 0.6667 0.2077
O7 O 0.3333 0.6667 0.7097
O8 O 0.3537 0.1769 0.2129
O9 O 0.5011 0.0021 0.8745
O10 O 0.5224 0.0448 0.3693
O11 O 0.6667 0.3333 0.0418
O12 O 0.6667 0.3333 0.5404